(1)
! Li6V3P8O29, relaxed, DFT PBE+U; values from VASP
! **M_tot**: 0.065 μB per atom
! **E (MP2020)**: -347.6 eV per formula unit
! **Total energy**: -7.01 eV/atom
! **Distance to the lowest polymorph of the same formula**: 9.2 meV/atom
! **Space group**: P1, No. 1
&SYSTEM
  ibrav = 0, nat = 92, ntyp = 4
/
ATOMIC_SPECIES
Li 6.94 Li.upf
V 50.94 V.upf
P 30.97 P.upf
O 16.00 O.upf
CELL_PARAMETERS angstrom
9.798 0.000 0.000
4.881 8.525 0.000
0.012 0.123 13.984
ATOMIC_POSITIONS angstrom
Li 0.000 0.000 0.000
Li 2.122 3.694 6.197
Li 0.081 0.081 6.917
Li 2.866 4.898 13.272
Li 7.136 6.476 11.568
Li 7.030 4.811 6.179
Li 9.220 8.608 13.279
Li 10.471 8.524 6.201
Li 9.508 5.535 5.208
Li 9.807 5.723 12.568
Li 12.551 6.455 4.510
Li 10.574 2.962 11.608
V 4.328 5.635 1.921
V 2.212 1.976 8.868
V 2.815 0.825 2.000
V 5.620 5.679 8.966
V 7.677 1.931 1.876
V 7.090 0.886 8.946
P 4.889 8.505 3.571
P 4.984 8.549 10.585
P 4.902 2.758 0.225
P 4.968 2.851 7.218
P 7.232 6.442 0.593
P 7.895 7.570 7.640
P 9.152 8.393 10.211
P 7.245 4.901 3.150
P 10.534 8.302 3.242
P 7.973 3.772 10.225
P 9.169 3.074 7.577
P 11.781 7.495 0.644
P 10.503 2.954 0.647
P 12.525 6.483 7.635
P 12.483 4.970 10.209
P 11.817 3.727 3.216
O 4.869 8.538 5.071
O 4.143 7.211 3.084
O 0.811 1.313 9.981
O 2.953 4.971 3.130
O 0.144 0.116 12.086
O 2.129 3.538 10.121
O 1.402 1.576 0.787
O 4.256 6.624 7.823
O 4.230 4.978 9.960
O 2.824 2.431 3.071
O 6.344 8.497 2.982
O 5.810 7.289 10.116
O 3.477 2.867 7.808
O 4.187 4.046 0.745
O 5.693 6.558 0.772
O 2.137 0.330 7.748
O 5.693 4.958 2.949
O 3.528 1.196 10.014
O 4.893 2.873 5.725
O 4.167 1.504 0.854
O 6.915 6.357 7.657
O 7.824 7.862 0.645
O 4.882 2.772 12.722
O 5.721 4.089 7.797
O 9.028 8.502 3.150
O 6.996 4.989 10.184
O 7.697 5.857 13.331
O 8.786 7.682 11.490
O 7.663 5.571 4.426
O 8.734 7.408 9.008
O 8.842 7.502 6.491
O 7.839 5.690 1.883
O 6.335 2.713 0.862
O 5.642 1.545 7.764
O 7.728 3.467 3.065
O 5.790 0.094 10.072
O 6.413 1.096 3.081
O 7.210 2.454 10.056
O 8.734 3.919 6.419
O 10.803 7.485 13.509
O 10.921 7.548 4.505
O 8.886 3.932 8.903
O 8.903 3.892 11.394
O 10.978 7.329 2.024
O 11.904 7.902 7.614
O 8.995 2.736 0.640
O 8.462 1.691 7.745
O 7.746 0.264 0.696
O 9.097 1.188 2.898
O 13.380 8.495 9.936
O 11.889 5.759 8.932
O 10.857 3.868 1.929
O 11.006 3.843 4.476
O 10.981 3.843 13.402
O 12.136 5.692 6.408
O 12.091 5.619 11.495
O 10.694 2.803 7.558
O 12.788 6.298 0.637


(2)
! La2MgZnMoO6, relaxed, DFT PBE+U; values from VASP
! **M_tot**: 0.182 μB per atom
! **E (MP2020)**: -81.9 eV per formula unit
! **Total energy**: -6.78 eV/atom
! **Distance to the lowest polymorph of the same formula**: 14.2 meV/atom
! **Space group**: P1, No. 1
&SYSTEM
  ibrav = 0, nat = 11, ntyp = 5
/
ATOMIC_SPECIES
La 138.91 La.upf
Mg 24.30 Mg.upf
Zn 65.41 Zn.upf
Mo 95.94 Mo.upf
O 16.00 O.upf
CELL_PARAMETERS angstrom
5.736 0.000 0.000
-0.726 5.694 0.000
-2.039 -3.034 5.158
ATOMIC_POSITIONS angstrom
La 0.000 0.000 0.000
La 0.757 -0.285 3.817
Mg 1.968 2.753 1.900
Zn -0.948 2.820 1.685
Mo 3.039 -0.119 1.901
O -0.736 1.014 2.181
O 0.514 4.117 1.596
O 2.103 1.241 0.389
O 2.263 1.400 3.267
O 3.353 3.818 0.837
O 3.203 -1.425 3.610


(3)
! Li10Mn21O48, relaxed, DFT PBE+U; values from VASP
! **M_tot**: 0.772 μB per atom
! **E (MP2020)**: -598.4 eV per formula unit
! **Total energy**: -6.71 eV/atom
! **Space group**: C2/m, No. 12
&SYSTEM
  ibrav = 0, nat = 79, ntyp = 3
/
ATOMIC_SPECIES
Li 6.94 Li.upf
Mn 54.94 Mn.upf
O 16.00 O.upf
CELL_PARAMETERS angstrom
5.086 -2.927 0.000
5.086 2.927 0.000
-0.375 0.000 28.701
ATOMIC_POSITIONS angstrom
Li 10.143 0.000 1.900
Li -0.346 0.000 26.801
Li -0.100 0.000 12.622
Li 3.003 0.000 25.651
Li 3.227 0.000 11.437
Li 3.160 0.000 22.147
Li 6.636 0.000 6.554
Li 6.569 0.000 17.263
Li 6.794 0.000 3.049
Li 9.896 0.000 16.078
Mn -0.092 0.000 7.118
Mn 9.889 0.000 21.583
Mn 2.543 1.464 0.000
Mn 2.355 1.464 14.350
Mn 1.435 0.000 19.136
Mn 3.991 1.471 19.137
Mn 4.183 1.470 4.785
Mn 5.614 1.470 23.916
Mn 5.805 1.471 9.564
Mn 3.351 0.000 2.473
Mn 3.178 0.000 16.670
Mn 2.543 -1.464 0.000
Mn 2.355 -1.464 14.350
Mn 5.086 0.000 0.000
Mn 6.618 0.000 12.031
Mn 6.445 0.000 26.228
Mn 3.991 -1.471 19.137
Mn 4.183 -1.470 4.785
Mn 5.614 -1.470 23.916
Mn 5.805 -1.471 9.564
Mn 8.362 0.000 9.564
O -0.121 0.000 10.578
O -0.182 0.000 24.888
O 2.384 1.306 18.035
O 2.749 1.369 3.499
O 1.365 0.000 8.473
O 4.221 1.635 8.501
O 1.252 0.000 22.794
O 3.778 1.373 15.637
O 4.213 1.543 22.624
O 1.637 0.000 15.477
O 1.876 0.000 1.125
O 4.152 1.308 1.092
O 5.583 1.543 6.077
O 5.575 1.635 20.200
O 3.064 0.000 13.371
O 3.140 0.000 20.121
O 3.057 0.000 27.677
O 3.447 0.000 5.724
O 5.645 1.308 27.609
O 6.018 1.373 13.064
O 4.652 0.000 18.004
O 2.384 -1.306 18.035
O 4.893 0.000 3.650
O 7.047 1.369 25.202
O 2.749 -1.369 3.499
O 4.903 0.000 25.051
O 7.412 1.306 10.666
O 5.145 0.000 10.697
O 3.778 -1.373 15.637
O 4.152 -1.308 1.092
O 6.349 0.000 22.977
O 6.739 0.000 1.023
O 6.656 0.000 8.580
O 6.733 0.000 15.330
O 4.221 -1.635 8.501
O 4.213 -1.543 22.624
O 5.645 -1.308 27.609
O 7.920 0.000 27.575
O 8.160 0.000 13.224
O 5.583 -1.543 6.077
O 6.018 -1.373 13.064
O 8.544 0.000 5.906
O 5.575 -1.635 20.200
O 8.432 0.000 20.227
O 7.047 -1.369 25.202
O 7.412 -1.306 10.666
O 9.978 0.000 3.813
O 9.917 0.000 18.123


(4)
! V4O5F7, relaxed, DFT PBE+U; values from VASP
! **E (MP2020)**: -118.7 eV per formula unit
! **Total energy**: -6.58 eV/atom
! **Distance to the lowest polymorph of the same formula**: 0.0 meV/atom
! **Space group**: P1, No. 1
&SYSTEM
  ibrav = 0, nat = 16, ntyp = 3
/
ATOMIC_SPECIES
V 50.94 V.upf
O 16.00 O.upf
F 19.00 F.upf
CELL_PARAMETERS angstrom
5.285 0.000 0.000
-2.637 4.652 0.000
-0.053 -2.837 8.592
ATOMIC_POSITIONS angstrom
V 0.000 0.000 0.000
V -0.212 0.153 6.592
V -0.268 3.139 4.261
V 2.515 1.406 2.151
O -0.393 -1.485 7.633
O -1.509 0.964 7.294
O -1.521 2.223 3.658
O 1.514 0.793 0.935
O 2.237 -0.066 3.381
F 1.534 -0.851 5.829
F 0.424 1.637 5.452
F 1.088 0.715 7.972
F 1.083 2.442 3.048
F 4.168 0.543 1.561
F 4.190 -0.637 5.103
F 3.041 3.033 1.169


(5)
! SrCeEuNiO6, relaxed, DFT PBE+U; values from VASP
! **M_tot**: 0.700 μB per atom
! **E (MP2020)**: -80.0 eV per formula unit
! **Total energy**: -7.33 eV/atom
! **Distance to the lowest polymorph of the same formula**: 0.0 meV/atom
! **Space group**: F-43m, No. 216
&SYSTEM
  ibrav = 0, nat = 10, ntyp = 5
/
ATOMIC_SPECIES
Sr 87.62 Sr.upf
Ce 140.12 Ce.upf
Eu 151.96 Eu.upf
Ni 58.69 Ni.upf
O 16.00 O.upf
CELL_PARAMETERS angstrom
0.000 4.072 4.072
4.072 0.000 4.072
4.072 4.072 0.000
ATOMIC_POSITIONS angstrom
Sr 0.000 0.000 0.000
Ce 2.036 2.036 2.036
Eu 4.072 4.072 4.072
Ni 6.108 6.108 6.108
O 6.108 6.108 4.202
O 6.108 4.202 6.108
O 8.014 6.108 6.108
O 4.202 6.108 6.108
O 6.108 8.014 6.108
O 6.108 6.108 8.014


(6)
! CoH12Br2O14, relaxed, DFT PBE+U; values from VASP
! **M_tot**: 0.000 μB per atom
! **E (MP2020)**: -147.3 eV per formula unit
! **Total energy**: -4.69 eV/atom
&SYSTEM
  ibrav = 0, nat = 116, ntyp = 4
/
ATOMIC_SPECIES
Co 58.93 Co.upf
H 1.01 H.upf
Br 79.90 Br.upf
O 16.00 O.upf
CELL_PARAMETERS angstrom
7.853 -0.003 -0.001
3.923 6.800 6.116
0.005 -13.609 12.238
ATOMIC_POSITIONS angstrom
Co 7.852 -0.006 12.233
Co 3.928 -6.807 12.237
Co 7.853 -0.004 0.000
Co 7.852 -0.004 6.116
H 5.496 -4.985 10.889
H 1.573 -11.786 10.892
H 9.421 1.819 4.770
H 5.497 -4.982 4.771
H 8.646 -2.274 10.888
H 4.722 -9.077 10.892
H 4.717 4.531 4.771
H 8.646 -2.273 4.771
H 9.419 -6.366 10.891
H 9.418 -6.367 17.009
H 5.490 0.441 4.772
H 5.490 0.440 10.889
H 6.291 -6.360 10.890
H 6.290 -6.362 17.008
H 2.362 0.446 4.771
H 10.214 0.442 10.887
H 7.056 -2.273 10.889
H 3.132 -9.076 10.892
H 3.127 4.532 4.772
H 7.057 -2.272 4.771
H 2.360 -4.985 10.890
H 6.290 -11.791 10.892
H 6.284 1.818 4.771
H 2.361 -4.983 4.772
H 6.284 -1.827 7.462
H 6.284 -1.828 13.581
H 2.360 -8.631 13.583
H 10.207 4.973 7.462
H 3.135 -4.537 7.463
H 3.134 -4.539 13.582
H 7.063 -11.344 13.583
H 7.058 2.264 7.461
H 2.362 -0.446 7.462
H 6.291 -7.251 7.463
H 6.290 -7.253 13.581
H 2.362 -0.445 1.345
H 5.490 -0.452 7.462
H 1.566 -7.253 7.464
H 9.418 -7.258 13.582
H 5.490 -0.451 1.346
H 4.724 -4.537 7.462
H 4.724 -4.540 13.581
H 8.653 -11.345 13.583
H 8.648 2.264 7.461
H 9.420 -1.826 7.462
H 9.419 -1.828 13.580
H 5.496 -8.630 13.582
H 5.491 4.977 7.461
Br 7.854 -4.540 8.093
Br 7.853 -4.544 14.212
Br 3.930 -11.346 14.215
Br 3.924 2.264 8.092
Br 3.927 -2.269 10.257
Br 7.856 -9.076 10.261
Br 7.851 4.531 4.141
Br 3.927 -2.268 4.140
O 7.852 -4.541 9.735
O 7.852 -4.545 15.854
O 3.924 2.262 3.619
O 3.923 2.264 9.734
O 3.928 -2.267 8.615
O 7.857 -9.075 8.619
O 7.857 -9.077 14.736
O 3.929 -2.267 2.498
O 7.854 -6.093 7.513
O 7.853 -6.097 13.633
O 3.925 0.710 1.398
O 3.925 0.710 7.514
O 6.508 -3.763 7.514
O 6.508 -3.767 13.633
O 2.584 -10.569 13.636
O 10.432 3.037 7.511
O 1.347 -3.760 7.516
O 9.199 -3.767 13.635
O 5.276 -10.568 13.638
O 5.270 3.040 7.514
O 3.926 -0.716 10.837
O 7.856 -7.523 10.840
O 7.855 -7.524 16.957
O 3.927 -0.714 4.719
O 5.272 -3.046 10.836
O 1.348 -9.850 10.841
O 9.196 3.755 4.720
O 5.273 -3.045 4.720
O 10.434 -3.050 10.833
O 6.510 -9.853 10.838
O 6.505 3.754 4.718
O 2.581 -3.045 4.718
O 5.410 -5.951 11.021
O 5.409 -5.953 17.139
O 9.334 0.851 4.900
O 9.333 0.851 11.017
O 7.851 -1.716 11.018
O 3.928 -8.518 11.021
O 3.923 5.089 4.901
O 7.852 -1.714 4.900
O 2.447 -5.952 11.021
O 10.299 -5.958 17.138
O 6.371 0.850 4.900
O 6.370 0.850 11.017
O 6.370 -0.860 7.332
O 2.447 -7.662 7.333
O 2.446 -7.664 13.453
O 6.371 -0.860 1.216
O 3.929 -5.095 7.333
O 3.928 -5.097 13.452
O 7.858 -11.902 13.454
O 7.853 1.706 7.332
O 9.334 -0.859 7.331
O 5.410 -7.661 7.333
O 5.409 -7.663 13.453
O 1.481 -0.855 1.217


(7)
! Rb2NiF6, relaxed, DFT PBE+U; values from VASP
! **E (MP2020)**: -40.7 eV per formula unit
! **Total energy**: -3.94 eV/atom
! **Space group**: Fm-3m, No. 225
&SYSTEM
  ibrav = 0, nat = 9, ntyp = 3
/
ATOMIC_SPECIES
Rb 85.47 Rb.upf
Ni 58.69 Ni.upf
F 19.00 F.upf
CELL_PARAMETERS angstrom
0.000 4.298 4.298
4.298 0.000 4.298
4.298 4.298 0.000
ATOMIC_POSITIONS angstrom
Rb 2.149 2.149 2.149
Rb 6.446 6.446 6.446
Ni 0.000 0.000 0.000
F 4.298 4.298 1.805
F 4.298 1.805 4.298
F 6.790 4.298 4.298
F 1.805 4.298 4.298
F 4.298 6.790 4.298
F 4.298 4.298 6.790


(8)
! TiZnCrP3O12, relaxed, DFT PBE+U; values from VASP
! **M_tot**: 0.167 μB per atom
! **E (MP2020)**: -143.4 eV per formula unit
! **Total energy**: -7.40 eV/atom
! **Space group**: R3c, No. 161
&SYSTEM
  ibrav = 0, nat = 36, ntyp = 5
/
ATOMIC_SPECIES
Ti 47.87 Ti.upf
Zn 65.41 Zn.upf
Cr 52.00 Cr.upf
P 30.97 P.upf
O 16.00 O.upf
CELL_PARAMETERS angstrom
4.296 2.480 6.957
-4.296 2.480 6.957
0.000 -4.961 6.957
ATOMIC_POSITIONS angstrom
Ti 0.000 0.000 0.000
Ti 0.000 0.000 10.435
Zn 0.000 0.000 3.045
Zn 0.000 0.000 13.480
Cr 0.000 0.000 5.979
Cr 0.000 0.000 16.414
P -1.264 -2.183 8.212
P -3.038 -0.294 11.690
P -1.258 2.186 8.212
P 1.774 -2.484 11.690
P 2.523 -0.003 8.212
P 1.264 2.778 11.690
O -3.439 -1.025 10.429
O -1.492 0.121 4.628
O -0.603 -3.594 8.379
O -0.832 -1.470 6.950
O -3.499 -1.064 12.963
O 0.641 -1.353 4.628
O -2.811 2.319 8.379
O -0.828 -1.399 9.485
O -0.857 1.456 6.950
O -1.485 -0.162 11.857
O 0.851 1.232 4.628
O -0.797 1.417 9.485
O 1.689 0.015 6.950
O -0.641 -1.353 15.063
O 0.883 -1.206 11.857
O 2.607 -2.466 10.429
O 1.626 -0.018 9.485
O -0.851 1.232 15.063
O 0.603 1.367 11.857
O 2.671 -2.498 12.963
O 0.832 3.491 10.429
O 3.414 1.275 8.379
O 1.492 0.121 15.063
O 0.828 3.562 12.963


(9)
! Sr2CoO3, relaxed, DFT PBE+U; values from VASP
! **M_tot**: 0.500 μB per atom
! **E (MP2020)**: -38.8 eV per formula unit
! **Total energy**: -5.84 eV/atom
! **Space group**: C2/m, No. 12
&SYSTEM
  ibrav = 0, nat = 6, ntyp = 3
/
ATOMIC_SPECIES
Sr 87.62 Sr.upf
Co 58.93 Co.upf
O 16.00 O.upf
CELL_PARAMETERS angstrom
2.481 -2.515 0.000
2.481 2.515 0.000
-1.056 0.000 10.854
ATOMIC_POSITIONS angstrom
Sr -0.001 0.000 2.261
Sr 3.907 0.000 8.593
Co 2.481 0.000 0.000
O 0.000 0.000 0.000
O 1.426 0.000 8.792
O 2.480 0.000 2.061